Entry from Materials Project: an optimized crystal structure of NaLiZnP2O7 (PBE-GGA).

Calculated values
The value obtained for the piezoelectric modulus e_max is 0.1 C/m2. The value obtained for the total moment is 0.00 μB/cell. The calculated density is 2.91 g/cm3. The energy with MP2020 corrections is -6.75 eV per atom.

Lattice parameters (Å, degrees): 7.351 7.351 6.435 90.00 90.00 118.01
Fractional positions:
Na 0.241 0.241 0.000
Na 0.759 0.759 0.500
Li 0.214 0.786 0.750
Li 0.786 0.214 0.250
Zn 0.217 0.783 0.250
Zn 0.783 0.217 0.750
P 0.193 0.423 0.496
P 0.423 0.193 0.504
P 0.577 0.807 0.004
P 0.807 0.577 0.996
O 0.080 0.322 0.299
O 0.082 0.321 0.701
O 0.267 0.658 0.502
O 0.321 0.082 0.299
O 0.322 0.080 0.701
O 0.342 0.733 0.998
O 0.412 0.412 0.500
O 0.588 0.588 0.000
O 0.658 0.267 0.498
O 0.678 0.920 0.201
O 0.679 0.918 0.799
O 0.733 0.342 0.002
O 0.918 0.679 0.201
O 0.919 0.678 0.799